Below is a relaxed structure of RbPuP2S7, with properties calculated at the meta-GGA r2SCAN level.

Cell: 12.489 9.070 9.957 Å, 89.25 90.00 90.00°
Fractional coordinates of all 44 atoms:
Rb 0.196 0.633 0.899
Rb 0.804 0.367 0.101
Rb 0.304 0.133 0.899
Rb 0.696 0.867 0.101
Pu 0.641 0.108 0.638
Pu 0.141 0.392 0.362
Pu 0.359 0.892 0.362
Pu 0.859 0.608 0.638
P 0.464 0.803 0.684
P 0.964 0.697 0.316
P 0.103 0.023 0.234
P 0.536 0.197 0.316
P 0.397 0.523 0.234
P 0.897 0.977 0.766
P 0.603 0.477 0.766
P 0.036 0.303 0.684
S 0.943 0.323 0.518
S 0.191 0.352 0.647
S 0.309 0.852 0.647
S 0.332 0.572 0.414
S 0.168 0.072 0.414
S 0.050 0.079 0.747
S 0.559 0.290 0.859
S 0.292 0.390 0.142
S 0.525 0.930 0.829
S 0.057 0.677 0.482
S 0.941 0.790 0.859
S 0.441 0.710 0.141
S 0.557 0.823 0.518
S 0.792 0.110 0.858
S 0.550 0.421 0.253
S 0.059 0.210 0.141
S 0.809 0.648 0.353
S 0.208 0.890 0.142
S 0.668 0.428 0.586
S 0.708 0.610 0.858
S 0.832 0.928 0.586
S 0.691 0.148 0.353
S 0.025 0.570 0.171
S 0.450 0.579 0.747
S 0.475 0.070 0.171
S 0.443 0.177 0.482
S 0.950 0.921 0.253
S 0.975 0.430 0.829

Computed properties:
E_form: -1.021 eV/atom

***

Below is a relaxed structure of Rb2P3, with properties calculated at the meta-GGA r2SCAN level.

Cell: 6.619 6.619 8.617 Å, 110.79 110.79 94.34°
Fractional coordinates of all 10 atoms:
Rb 0.250 0.750 0.500
Rb 0.750 0.250 0.500
Rb 0.280 0.720 0.000
Rb 0.720 0.280 0.000
P 0.853 0.853 0.706
P 0.147 0.147 0.294
P 0.133 0.133 0.854
P 0.280 0.280 0.146
P 0.867 0.867 0.146
P 0.720 0.720 0.854

Computed properties:
E_form: -0.550 eV/atom

***

Below is a relaxed structure of RbP11, with properties calculated at the meta-GGA r2SCAN level.

Cell: 9.739 6.712 18.368 Å, 85.42 90.00 90.00°
Fractional coordinates of all 48 atoms:
Rb 0.472 0.925 0.667
Rb 0.528 0.075 0.333
Rb 0.972 0.075 0.333
Rb 0.028 0.925 0.667
P 0.405 0.853 0.087
P 0.595 0.147 0.913
P 0.905 0.147 0.913
P 0.095 0.853 0.087
P 0.750 0.802 0.223
P 0.250 0.198 0.777
P 0.911 0.687 0.062
P 0.089 0.313 0.938
P 0.411 0.313 0.938
P 0.589 0.687 0.062
P 0.750 0.747 0.459
P 0.250 0.253 0.541
P 0.750 0.343 0.957
P 0.250 0.657 0.043
P 0.367 0.783 0.206
P 0.633 0.217 0.794
P 0.867 0.217 0.794
P 0.133 0.783 0.206
P 0.750 0.737 0.576
P 0.250 0.263 0.424
P 0.750 0.876 0.107
P 0.250 0.124 0.893
P 0.912 0.540 0.428
P 0.088 0.460 0.572
P 0.412 0.460 0.572
P 0.588 0.540 0.428
P 0.750 0.483 0.220
P 0.250 0.517 0.780
P 0.750 0.621 0.874
P 0.250 0.379 0.126
P 0.404 0.455 0.206
P 0.596 0.545 0.794
P 0.904 0.545 0.794
P 0.096 0.455 0.206
P 0.412 0.692 0.476
P 0.588 0.308 0.524
P 0.912 0.308 0.524
P 0.088 0.692 0.476
P 0.913 0.414 0.140
P 0.087 0.586 0.860
P 0.413 0.586 0.860
P 0.587 0.414 0.140
P 0.750 0.418 0.595
P 0.250 0.582 0.405

Computed properties:
E_form: -0.156 eV/atom

***

Question: Which formula does entry 1 have?
Answer: RbPuP2S7

***

Question: Which value of E_form does entry 2 give?
Answer: -0.550 eV/atom